Material: Li4MnV3P8O28
Method: DFT, GGA+U
State: optimized geometry

extended XYZ file:
```
88
Lattice="-0.766 3.857 7.298 2.665 -3.468 2.112 22.523 13.463 -4.749" Properties=species:S:1:pos:R:3 pbc="T T T"
Li 22.358 12.849 -1.040
Li 11.112 6.101 1.331
Li 1.893 1.861 7.325
Li 13.141 8.597 4.934
Li 18.054 7.746 1.208
Li 6.803 1.019 3.577
Li 17.449 13.690 2.708
Li 6.196 6.966 5.083
Mn 10.275 8.417 6.022
Mn 13.768 7.341 2.249
V 21.532 15.167 3.659
V 2.507 0.610 4.646
V 17.995 6.208 -1.384
V 5.975 3.339 8.278
V 18.064 12.440 0.030
V 6.809 5.721 2.407
P 17.915 9.516 -1.451
P 15.075 10.287 3.556
P 6.660 2.796 0.927
P 3.819 3.540 5.915
P 20.550 10.575 -0.753
P 17.868 10.524 2.728
P 9.291 3.848 1.643
P 6.613 3.796 5.093
P 2.356 -2.311 3.166
P 22.042 11.902 3.409
P 13.589 4.373 0.778
P 10.798 5.191 5.785
P 2.328 2.212 1.751
P 22.173 15.625 0.478
P 13.570 8.932 -0.609
P 10.945 8.911 2.811
O 22.527 15.807 1.955
O 0.500 1.077 4.550
O 17.881 11.872 1.983
O 11.319 9.134 4.268
O 11.760 7.799 2.129
O 19.949 11.807 -0.057
O 6.614 5.143 4.359
O 2.726 1.127 2.743
O 19.450 9.918 -1.754
O 8.668 5.070 2.339
O 2.809 2.457 5.560
O 14.021 7.862 0.392
O 16.377 9.926 2.636
O 8.191 3.188 0.629
O 14.047 9.237 3.215
O 21.694 10.985 -1.672
O 15.469 10.218 5.041
O 5.120 3.189 5.006
O 21.583 13.296 3.001
O 10.447 4.253 0.762
O 17.919 8.152 -0.752
O 4.190 3.464 7.405
O 10.284 6.579 5.385
O 6.652 1.419 1.619
O 24.246 11.140 -2.982
O 18.224 10.709 4.202
O 1.752 -1.235 4.070
O 12.995 4.376 -0.641
O 18.724 9.442 2.048
O 6.964 3.977 6.576
O 12.966 5.408 1.701
O 7.463 2.712 4.424
O 2.319 0.041 6.601
O 20.951 9.493 0.240
O 4.390 -0.026 4.562
O 13.603 6.784 4.158
O 21.035 10.820 3.053
O 9.660 2.749 2.635
O 3.889 -1.914 2.863
O 15.646 6.703 2.195
O 9.783 4.108 5.416
O 14.720 9.332 -1.534
O 20.681 15.019 0.387
O 15.136 4.795 0.514
O 14.645 11.692 3.141
O 3.469 2.622 0.832
O 19.750 15.297 2.787
O 9.432 8.323 2.759
O 3.356 4.934 5.510
O 22.214 13.251 -2.998
O 8.492 8.573 5.164
O 17.283 9.510 -2.845
O 17.314 10.598 -0.545
O 10.940 6.454 -0.656
O 6.022 2.778 -0.473
O 6.053 3.867 1.831
```

The total energy after the MP2020 corrections comes out at -7.83 eV per atom. For the total magnetization, the calculation gives 10.00 μB per formula unit. Its formation energy is -2692 meV/atom. The crystal system is monoclinic.